Computed, not measured: a relaxed BiOF crystal at the PBE level of DFT.

**Formation energy from the elements**: -639 kJ/mol of formula units
**Volume**: 206.89 Å³/cell
**Raw total energy**: -5.41 eV per atom
**E (MP2020)**: -0.4257 Ry per atom

The structure in CIF format:
```
data_BiOF
_chemical_formula_sum 'Bi4 O4 F4'
_cell_length_a 5.8303
_cell_length_b 5.8723
_cell_length_c 6.0798
_cell_angle_alpha 90.00
_cell_angle_beta 96.33
_cell_angle_gamma 90.00
_symmetry_space_group_name_H-M 'P 1 21/c 1'
_symmetry_Int_Tables_number 14
loop_
_symmetry_equiv_pos_as_xyz
'x,y,z'
'-x,-y,-z'
'-x,y+1/2,-z+1/2'
'x,-y+1/2,z+1/2'
loop_
_atom_site_label
_atom_site_fract_x
_atom_site_fract_y
_atom_site_fract_z
Bi1 0.2424 0.0454 0.1918
O1 0.0756 0.1700 0.8688
F1 0.4418 0.7464 0.4808
```